# 1
First-principles (GGA+U) data for an optimized crystal structure of V2O5, as listed in the Materials Project.

Summary:
Spin magnetization   0.67 μB per formula unit
Total energy   -7.30 eV per atom
Energy with MP2020 corrections   -7.899 eV/atom

a = 12.0062 Å, b = 12.2498 Å, c = 12.7301 Å
α = 90.22°, β = 91.45°, γ = 91.36°
With the nearest neighbours (Å) after each atom.
Space group P1 (No. 1)
Asymmetric unit:
V 0.0000 0.0000 0.0000 (multiplicity 1)  3 O 1.66-1.86
V 0.0079 0.2615 0.1398 (multiplicity 1)  4 O 1.79-1.98
V 0.0670 0.7424 0.6017 (multiplicity 1)  4 O 1.69-1.80
V 0.0749 0.4933 0.5057 (multiplicity 1)  1 O 1.60
V 0.1093 0.1155 0.6084 (multiplicity 1)  4 O 1.62-1.81
V 0.1305 0.3918 0.2823 (multiplicity 1)  4 O 1.73-1.86
V 0.1438 0.9446 0.3953 (multiplicity 1)  1 O 1.61
V 0.1843 0.1834 0.9507 (multiplicity 1)  4 O 1.73-1.78
V 0.2182 0.7969 0.0121 (multiplicity 1)  3 O 1.73-1.90
V 0.2208 0.6962 0.2707 (multiplicity 1)  4 O 1.67-1.84
V 0.2236 0.5890 0.7964 (multiplicity 1)  1 O 1.60
V 0.3092 0.3997 0.4594 (multiplicity 1)  2 O 1.61-1.80
V 0.3558 0.3806 0.9188 (multiplicity 1)  3 O 1.76-1.89
V 0.3957 0.0368 0.3105 (multiplicity 1)  5 O 1.77-1.98
V 0.4067 0.7894 0.8939 (multiplicity 1)  2 O 1.61-1.77
V 0.4222 0.1906 0.0694 (multiplicity 1)  4 O 1.77-1.91
V 0.4356 0.4518 0.6845 (multiplicity 1)  2 O 1.61-1.80
V 0.4450 0.7725 0.4298 (multiplicity 1)  2 O 1.62-1.76
V 0.5359 0.1236 0.5472 (multiplicity 1)  4 O 1.69-1.85
V 0.5454 0.2143 0.8051 (multiplicity 1)  1 O 1.62
V 0.5699 0.9374 0.7162 (multiplicity 1)  4 O 1.68-1.80
V 0.6316 0.9283 0.2615 (multiplicity 1)  4 O 1.73-1.91
V 0.6711 0.6973 0.4080 (multiplicity 1)  2 O 1.62-1.72
V 0.7825 0.1823 0.3069 (multiplicity 1)  2 O 1.62-1.74
V 0.7910 0.7580 0.6523 (multiplicity 1)  2 O 1.60-1.76
V 0.7929 0.3920 0.0365 (multiplicity 1)  3 O 1.68-1.79
V 0.8269 0.7902 0.1114 (multiplicity 1)  4 O 1.70-1.76
V 0.8395 0.1979 0.5707 (multiplicity 1)  1 O 1.61
V 0.8897 0.5932 0.0385 (multiplicity 1)  1 O 1.62
V 0.9446 0.1045 0.7835 (multiplicity 1)  2 O 1.62-1.78
O 0.0119 0.0927 0.0958 (multiplicity 1)  1 V 1.66
O 0.0156 0.6181 0.0008 (multiplicity 1)  1 V 1.62
O 0.0233 0.6312 0.5188 (multiplicity 1)  2 V 1.78-1.82
O 0.0240 0.9781 0.3483 (multiplicity 1)  1 V 1.61
O 0.0382 0.4123 0.3895 (multiplicity 1)  2 V 1.80-1.82
O 0.0394 0.0279 0.7012 (multiplicity 1)  2 V 1.81-1.84
O 0.0430 0.4260 0.6087 (multiplicity 1)  1 V 1.60
O 0.0527 0.4141 0.1666 (multiplicity 1)  2 V 1.75-1.96
O 0.1022 0.0695 0.9044 (multiplicity 1)  2 V 1.78-1.94
O 0.1059 0.5299 0.8153 (multiplicity 1)  1 V 1.60
O 0.1085 0.8852 0.0004 (multiplicity 1)  1 V 1.73
O 0.1089 0.2682 0.0298 (multiplicity 1)  2 V 1.73-1.88
O 0.1167 0.8393 0.5193 (multiplicity 1)  1 V 1.69
O 0.1179 0.2530 0.2582 (multiplicity 1)  1 V 1.73
O 0.1500 0.5782 0.2838 (multiplicity 1)  1 V 1.67
O 0.1543 0.8061 0.3236 (multiplicity 1)  2 V 1.72-1.93
O 0.1674 0.6961 0.6909 (multiplicity 1)  1 V 1.74
O 0.1699 0.0388 0.5038 (multiplicity 1)  2 V 1.81
O 0.2087 0.1787 0.6736 (multiplicity 1)  1 V 1.62
O 0.2239 0.5090 0.5027 (multiplicity 1)  2 V 1.80
O 0.2375 0.7225 0.1295 (multiplicity 1)  2 V 1.77-1.84
O 0.2436 0.2892 0.4928 (multiplicity 1)  1 V 1.61
O 0.2488 0.0173 0.3079 (multiplicity 1)  2 V 1.77-1.91
O 0.2520 0.2735 0.8673 (multiplicity 1)  2 V 1.74-1.89
O 0.2646 0.7209 0.8832 (multiplicity 1)  3 V 1.88-2.00
O 0.2813 0.4062 0.3178 (multiplicity 1)  2 V 1.83-1.86
O 0.2836 0.1235 0.0308 (multiplicity 1)  2 V 1.73-1.89
O 0.3026 0.5131 0.7009 (multiplicity 1)  2 V 1.80-1.83
O 0.3087 0.5149 0.9031 (multiplicity 1)  2 V 1.76-1.92
O 0.3491 0.6918 0.3393 (multiplicity 1)  2 V 1.75-1.87
O 0.3566 0.8726 0.9953 (multiplicity 1)  2 V 1.77-1.90
O 0.3806 0.3386 0.0491 (multiplicity 1)  2 V 1.76-1.91
O 0.4043 0.7611 0.5495 (multiplicity 1)  1 V 1.62
O 0.4058 0.9058 0.3983 (multiplicity 1)  2 V 1.76-1.96
O 0.4269 0.1481 0.2022 (multiplicity 1)  2 V 1.77-1.98
O 0.4331 0.4153 0.5451 (multiplicity 1)  2 V 1.83
O 0.4504 0.3548 0.7969 (multiplicity 1)  3 V 1.87-2.09
O 0.4605 0.1212 0.4250 (multiplicity 1)  2 V 1.78-1.92
O 0.4651 0.8585 0.7812 (multiplicity 1)  2 V 1.79-1.82
O 0.4925 0.1803 0.9479 (multiplicity 1)  2 V 1.79-1.98
O 0.4948 0.9537 0.2250 (multiplicity 1)  2 V 1.73-1.94
O 0.4958 0.2021 0.6514 (multiplicity 1)  1 V 1.72
O 0.4974 0.7080 0.9432 (multiplicity 1)  1 V 1.61
O 0.5118 0.9840 0.5980 (multiplicity 1)  2 V 1.75-1.85
O 0.5306 0.5450 0.7038 (multiplicity 1)  1 V 1.61
O 0.5419 0.6431 0.4366 (multiplicity 1)  1 V 1.72
O 0.5908 0.0520 0.7874 (multiplicity 1)  1 V 1.68
O 0.6118 0.8320 0.3779 (multiplicity 1)  2 V 1.85-1.91
O 0.6304 0.3891 0.9995 (multiplicity 1)  1 O 1.34
O 0.6470 0.3327 0.0884 (multiplicity 1)  1 O 1.34
O 0.6685 0.2694 0.8197 (multiplicity 1)  1 V 1.62
O 0.6752 0.1388 0.5373 (multiplicity 1)  1 V 1.69
O 0.6924 0.2781 0.3129 (multiplicity 1)  1 V 1.62
O 0.6923 0.8683 0.6762 (multiplicity 1)  2 V 1.80-1.85
O 0.6965 0.8764 0.8942 (multiplicity 1)  1 O 1.23
O 0.7109 0.8383 0.1774 (multiplicity 1)  2 V 1.76-1.83
O 0.7123 0.0528 0.2725 (multiplicity 1)  2 V 1.79-1.82
O 0.7251 0.6340 0.3105 (multiplicity 1)  1 V 1.62
O 0.7629 0.6584 0.7296 (multiplicity 1)  1 V 1.60
O 0.7667 0.7122 0.5220 (multiplicity 1)  2 V 1.76-1.83
O 0.7884 0.8508 0.8630 (multiplicity 1)  1 O 1.23
O 0.7914 0.7032 0.0043 (multiplicity 1)  2 V 1.76-1.86
O 0.8075 0.3229 0.5887 (multiplicity 1)  1 V 1.61
O 0.8291 0.1147 0.6935 (multiplicity 1)  2 V 1.78-1.87
O 0.8316 0.4935 0.9421 (multiplicity 1)  2 V 1.79-1.84
O 0.8404 0.4810 0.1348 (multiplicity 1)  2 V 1.73-1.94
O 0.8479 0.1637 0.4286 (multiplicity 1)  2 V 1.74-1.86
O 0.8828 0.2893 0.0264 (multiplicity 1)  1 V 1.68
O 0.8922 0.2268 0.2205 (multiplicity 1)  2 V 1.79-1.81
O 0.8956 0.0361 0.9051 (multiplicity 1)  2 V 1.78-1.86
O 0.9068 0.8998 0.0666 (multiplicity 1)  2 V 1.74-1.86
O 0.9075 0.6947 0.1693 (multiplicity 1)  1 V 1.70
O 0.9418 0.7870 0.6617 (multiplicity 1)  2 V 1.80-1.84
O 0.9876 0.2285 0.8074 (multiplicity 1)  1 V 1.62
O 0.9938 0.2003 0.5740 (multiplicity 1)  2 V 1.80-1.85



# 2
First-principles (GGA+U) data for an optimized crystal structure of V6O13, as listed in the Materials Project.

Summary:
Spin magnetization   4.00 μB per formula unit
Energy above the most stable polymorph in this dataset   0.002 eV/atom
Total energy   -7.64 eV per atom
Energy with MP2020 corrections   -8.646 eV/atom

a = 10.2529 Å, b = 3.7529 Å, c = 12.2240 Å
α = 90.00°, β = 100.82°, γ = 90.00°
With the nearest neighbours (Å) after each atom.
Space group Pc (No. 7)
Asymmetric unit:
V 0.0000 0.2066 0.0000 (multiplicity 2)  3 O 1.78-1.97
V 0.0074 0.2681 0.2963 (multiplicity 2)  2 O 1.72-1.91
V 0.3676 0.2487 0.0696 (multiplicity 2)  2 O 1.68-1.76
V 0.3706 0.2520 0.3711 (multiplicity 2)  1 O 1.70
V 0.6365 0.2483 0.9411 (multiplicity 2)  1 O 1.70
V 0.6388 0.2523 0.2423 (multiplicity 2)  2 O 1.67-1.76
O 0.0032 0.2417 0.8378 (multiplicity 2)  3 V 1.91-1.99
O 0.0028 0.2499 0.1550 (multiplicity 2)  2 V 1.72-1.90
O 0.0030 0.2604 0.4762 (multiplicity 2)  1 V 1.78
O 0.2006 0.2455 0.0409 (multiplicity 2)  1 V 1.68
O 0.2027 0.2582 0.3328 (multiplicity 2)  1 V 1.70
O 0.3885 0.2514 0.5370 (multiplicity 2)  3 V 1.94-2.00
O 0.4116 0.2506 0.2159 (multiplicity 2)  1 V 1.76
O 0.4162 0.2483 0.9111 (multiplicity 2)  3 V 1.97-2.09
O 0.5914 0.2518 0.4014 (multiplicity 2)  3 V 1.97-2.09
O 0.5943 0.2499 0.0958 (multiplicity 2)  1 V 1.76
O 0.6166 0.2477 0.7751 (multiplicity 2)  3 V 1.94-2.00
O 0.8054 0.2434 0.9776 (multiplicity 2)  1 V 1.70
O 0.8048 0.2568 0.2693 (multiplicity 2)  1 V 1.67



# 3
First-principles (GGA+U) data for an optimized crystal structure of V2O5, as listed in the Materials Project.

Summary:
Spin magnetization   0.00 μB per formula unit
Total energy   -7.40 eV per atom
Energy with MP2020 corrections   -8.379 eV/atom

a = 6.2899 Å, b = 6.5972 Å, c = 7.3638 Å
α = 77.37°, β = 80.02°, γ = 75.91°
With the nearest neighbours (Å) after each atom.
Space group P-1 (No. 2)
Asymmetric unit:
V 0.1638 0.2157 0.0626 (multiplicity 2)  3 O 1.61-1.79
V 0.3198 0.6637 0.1070 (multiplicity 2)  1 O 1.60
O 0.0237 0.2023 0.2682 (multiplicity 2)  1 V 1.61
O 0.0249 0.6687 0.1074 (multiplicity 2)  2 V 1.79-1.85
O 0.2859 0.9532 0.0255 (multiplicity 2)  2 V 1.77-1.84
O 0.3594 0.6182 0.3223 (multiplicity 2)  1 V 1.60
O 0.3807 0.3738 0.0368 (multiplicity 2)  3 V 1.87-2.02



# 4
First-principles (GGA+U) data for an optimized crystal structure of VO2, as listed in the Materials Project.

Summary:
Total energy   -7.74 eV per atom
Energy with MP2020 corrections   -8.769 eV/atom

a = 5.6907 Å, b = 8.5027 Å, c = 6.2735 Å
α = 90.00°, β = 90.00°, γ = 90.00°
With the nearest neighbours (Å) after each atom.
Space group Cmcm (No. 63)
Asymmetric unit:
V 0.0000 0.0000 0.0000 (multiplicity 4)  6 O 2.02-2.07
V 0.0000 0.3549 0.2500 (multiplicity 4)  4 O 1.69-1.82
O 0.0000 0.2357 0.0346 (multiplicity 8)  1 V 1.69
O 0.2354 0.0252 0.7500 (multiplicity 8)  1 V 1.82



# 5
First-principles (GGA+U) data for an optimized crystal structure of V2O5, as listed in the Materials Project.

Summary:
Spin magnetization   0.00 μB per formula unit
Total energy   -7.38 eV per atom
Energy with MP2020 corrections   -8.358 eV/atom

a = 12.0512 Å, b = 4.7243 Å, c = 5.3924 Å
α = 90.00°, β = 103.65°, γ = 90.00°
With the nearest neighbours (Å) after each atom.
Space group C2/c (No. 15)
Asymmetric unit:
V 0.1429 0.2403 0.2473 (multiplicity 8)  3 O 1.68-1.82
O 0.0000 0.1148 0.2500 (multiplicity 4)  2 V 1.82
O 0.1100 0.4398 0.9824 (multiplicity 8)  1 V 1.68
O 0.2034 0.0702 0.6316 (multiplicity 8)  2 V 1.81-2.02



Q: Number 5 is which compound?
A: V2O5



Q: Which value of energy with MP2020 corrections does entry 4 give?
A: -8.769 eV/atom